NaMgMoO3: relaxed, PBE with a Hubbard U.

excess energy over the best structure of this formula in the dataset	0.087	eV per atom
space group	P4mm, No. 99
formation enthalpy at 0 K	-38.9	kcal/mol of atoms
density	2.88	g cm⁻³
final energy	-33.47	eV/cell

The structure in extended XYZ format:
```
6
Lattice="3.9783 0.0000 0.0000 0.0000 3.9783 0.0000 0.0000 0.0000 6.9692" Properties=species:S:1:pos:R:3 pbc="T T T"
Na 0.0000 0.0000 0.0000
Mg 0.0000 0.0000 3.4690
Mo 1.9892 1.9892 2.2492
O 0.0000 1.9892 2.9643
O 1.9892 0.0000 2.9643
O 1.9892 1.9892 0.3109
```

MgCr2Sb2O8: relaxed, PBE with a Hubbard U.

excess energy over the best structure of this formula in the dataset	0.000	eV per atom
space group	C2/m, No. 12
formation enthalpy at 0 K	-48.7	kcal/mol of atoms
density	4.61	g cm⁻³
final energy	-86.72	eV/cell

The structure in extended XYZ format:
```
13
Lattice="5.2820 -3.0851 0.0000 5.2820 3.0851 0.0000 -3.8868 0.0000 5.5192" Properties=species:S:1:pos:R:3 pbc="T T T"
Mg 0.0000 0.0000 0.0000
Cr 2.6410 1.5426 0.0000
Cr 2.6410 -1.5426 0.0000
Sb 5.2820 0.0000 0.0000
Sb 3.3387 0.0000 2.7596
O 1.8353 0.0000 1.0347
O 4.3676 1.4462 1.1000
O -0.3449 0.0000 4.5149
O 2.3097 1.4462 4.4192
O 4.3676 -1.4462 1.1000
O 7.0222 0.0000 1.0043
O 2.3097 -1.4462 4.4192
O 4.8420 0.0000 4.4844
```

MgFe8O14F2: relaxed, PBE with a Hubbard U.

excess energy over the best structure of this formula in the dataset	0.065	eV per atom
space group	P1, No. 1
formation enthalpy at 0 K	-36.2	kcal/mol of atoms
density	4.00	g cm⁻³
final energy	-153.14	eV/cell

The structure in extended XYZ format:
```
25
Lattice="5.1669 0.0000 0.0000 1.1071 5.0670 0.0000 0.0976 0.1142 11.6334" Properties=species:S:1:pos:R:3 pbc="T T T"
Mg 0.0000 0.0000 0.0000
Fe 0.7322 0.6669 7.2894
Fe 0.7814 0.6414 4.3678
Fe 1.7637 1.4234 1.6338
Fe 1.8590 1.5992 10.1508
Fe 4.1798 3.3835 0.0396
Fe 4.4128 3.5722 2.9729
Fe 4.4643 3.6433 5.8685
Fe 4.5899 3.5099 8.7435
O 0.4855 1.9141 0.0621
O 0.5724 1.9235 8.7762
O 2.9385 4.9881 5.8423
O 3.0742 5.0883 2.9809
O 2.0761 0.1992 11.6321
O 3.2211 2.6263 1.4761
O 3.3486 2.7402 10.2043
O 3.5839 2.8586 7.4187
O 5.2252 4.2392 1.3538
O 5.3726 4.2855 10.2678
O 5.4808 4.4514 4.4020
O 5.5663 4.4621 7.3819
O 5.4663 1.8458 5.8001
O 5.6068 1.9401 2.9857
F 2.1542 0.1132 8.7625
F 3.3605 2.7403 4.4045
```

CaVGe2O6: relaxed, PBE with a Hubbard U.

excess energy over the best structure of this formula in the dataset	0.000	eV per atom
space group	C2/c, No. 15
formation enthalpy at 0 K	-56.9	kcal/mol of atoms
density	4.34	g cm⁻³
final energy	-137.77	eV/cell

The structure in extended XYZ format:
```
20
Lattice="5.1955 -4.5980 0.0000 5.1955 4.5980 0.0000 -1.3710 0.0000 5.3266" Properties=species:S:1:pos:R:3 pbc="T T T"
Ca 4.1673 2.7750 3.9949
Ca 4.8528 -2.7750 1.3316
V 4.8528 0.8053 1.3316
V 4.1673 -0.8053 3.9949
Ge 1.1494 0.9039 4.1153
Ge 1.8349 -0.9039 1.4520
Ge 7.1851 0.9039 3.8746
Ge 7.8706 -0.9039 1.2113
O 1.4389 0.3062 0.1243
O 3.3354 2.2290 1.8567
O 0.7534 -0.3062 2.7876
O 2.8395 0.8622 4.5754
O 6.3701 2.2290 0.8066
O 3.5250 -0.8622 1.9121
O 5.4950 0.8622 3.4144
O 2.6499 -2.2290 4.5200
O 6.1806 -0.8622 0.7512
O 8.2666 0.3062 2.5389
O 5.6846 -2.2290 3.4699
O 7.5811 -0.3062 5.2022
```